No. 1
First-principles (PBE) data for a relaxed structure of CaB2H13N3, as listed in the Materials Project.

CIF file:
```
data_CaB2H13N3
_chemical_formula_sum 'Ca4 B8 H52 N12'
_cell_length_a 10.360
_cell_length_b 7.432
_cell_length_c 10.272
_cell_angle_alpha 90.00
_cell_angle_beta 118.17
_cell_angle_gamma 90.00
_symmetry_space_group_name_H-M 'P 1 21/c 1'
_symmetry_Int_Tables_number 14
loop_
_symmetry_equiv_pos_as_xyz
'x,y,z'
'-x,-y,-z'
'-x,y+1/2,-z+1/2'
'x,-y+1/2,z+1/2'
loop_
_atom_site_label
_atom_site_fract_x
_atom_site_fract_y
_atom_site_fract_z
Ca1 0.207 0.235 0.388
B1 0.102 0.569 0.735
B2 0.342 0.087 0.728
H1 0.021 0.692 0.519
H2 0.033 0.073 0.185
H3 0.092 0.663 0.154
H4 0.097 0.603 0.851
H5 0.219 0.162 0.679
H6 0.233 0.536 0.772
H7 0.239 0.547 0.590
H8 0.243 0.639 0.446
H9 0.325 0.572 0.247
H10 0.390 0.540 0.574
H11 0.422 0.159 0.849
H12 0.436 0.513 0.096
H13 0.492 0.191 0.653
N1 0.032 0.721 0.621
N2 0.278 0.530 0.515
N3 0.402 0.109 0.615
```

No. 2
First-principles (PBE) data for a relaxed structure of NaCaB5H10O14, as listed in the Materials Project.

CIF file:
```
data_NaCaB5H10O14
_chemical_formula_sum 'Na4 Ca4 B20 H40 O56'
_cell_length_a 6.639
_cell_length_b 12.671
_cell_length_c 13.602
_cell_angle_alpha 90.00
_cell_angle_beta 99.96
_cell_angle_gamma 90.00
_symmetry_space_group_name_H-M 'P 1 21/c 1'
_symmetry_Int_Tables_number 14
loop_
_symmetry_equiv_pos_as_xyz
'x,y,z'
'-x,-y,-z'
'-x,y+1/2,-z+1/2'
'x,-y+1/2,z+1/2'
loop_
_atom_site_label
_atom_site_fract_x
_atom_site_fract_y
_atom_site_fract_z
Na1 0.119 0.005 0.324
Ca1 0.350 0.587 0.594
B1 0.120 0.151 0.045
B2 0.148 0.561 0.367
B3 0.249 0.691 0.247
B4 0.336 0.243 0.449
B5 0.500 0.143 0.102
H1 0.049 0.676 0.949
H2 0.072 0.745 0.119
H3 0.128 0.098 0.840
H4 0.199 0.558 0.048
H5 0.250 0.060 0.544
H6 0.283 0.696 0.947
H7 0.347 0.248 0.797
H8 0.445 0.036 0.691
H9 0.452 0.648 0.794
H10 0.480 0.102 0.433
O1 0.035 0.039 0.847
O2 0.074 0.619 0.450
O3 0.104 0.627 0.274
O4 0.140 0.237 0.985
O5 0.174 0.640 0.938
O6 0.210 0.749 0.659
O7 0.219 0.006 0.592
O8 0.289 0.101 0.097
O9 0.330 0.201 0.852
O10 0.343 0.127 0.437
O11 0.370 0.548 0.400
O12 0.430 0.572 0.776
O13 0.443 0.703 0.302
O14 0.488 0.714 0.482
```

No. 3
First-principles (PBE) data for a relaxed structure of NaCa2B9H8O20, as listed in the Materials Project.

CIF file:
```
data_NaCa2B9H8O20
_chemical_formula_sum 'Na4 Ca8 B36 H32 O80'
_cell_length_a 11.611
_cell_length_b 12.687
_cell_length_c 10.629
_cell_angle_alpha 90.00
_cell_angle_beta 99.27
_cell_angle_gamma 90.00
_symmetry_space_group_name_H-M 'P 1 21/c 1'
_symmetry_Int_Tables_number 14
loop_
_symmetry_equiv_pos_as_xyz
'x,y,z'
'-x,-y,-z'
'-x,y+1/2,-z+1/2'
'x,-y+1/2,z+1/2'
loop_
_atom_site_label
_atom_site_fract_x
_atom_site_fract_y
_atom_site_fract_z
Na1 0.001 0.148 0.032
Ca1 0.154 0.601 0.135
Ca2 0.368 0.129 0.531
B1 0.001 0.739 0.728
B2 0.070 0.569 0.813
B3 0.109 0.120 0.403
B4 0.189 0.729 0.894
B5 0.206 0.211 0.243
B6 0.388 0.718 0.320
B7 0.407 0.170 0.203
B8 0.437 0.586 0.160
B9 0.446 0.521 0.673
H1 0.129 0.139 0.596
H2 0.147 0.551 0.582
H3 0.152 0.061 0.838
H4 0.232 0.042 0.080
H5 0.269 0.690 0.552
H6 0.284 0.029 0.860
H7 0.356 0.614 0.970
H8 0.473 0.671 0.630
O1 0.015 0.624 0.708
O2 0.030 0.209 0.395
O3 0.043 0.035 0.325
O4 0.099 0.248 0.694
O5 0.108 0.714 0.298
O6 0.145 0.619 0.907
O7 0.149 0.022 0.054
O8 0.150 0.085 0.536
O9 0.193 0.722 0.523
O10 0.215 0.032 0.796
O11 0.218 0.148 0.350
O12 0.300 0.233 0.184
O13 0.311 0.719 0.871
O14 0.351 0.644 0.227
O15 0.381 0.067 0.133
O16 0.383 0.556 0.031
O17 0.418 0.614 0.604
O18 0.458 0.150 0.337
O19 0.464 0.018 0.725
O20 0.493 0.234 0.141
```

No. 4
First-principles (PBE) data for a relaxed structure of CaB5H4O9, as listed in the Materials Project.

CIF file:
```
data_CaB5H4O9
_chemical_formula_sum 'Ca4 B20 H16 O36'
_cell_length_a 6.617
_cell_length_b 20.361
_cell_length_c 6.591
_cell_angle_alpha 90.00
_cell_angle_beta 119.17
_cell_angle_gamma 90.00
_symmetry_space_group_name_H-M 'P 1 21/c 1'
_symmetry_Int_Tables_number 14
loop_
_symmetry_equiv_pos_as_xyz
'x,y,z'
'-x,-y,-z'
'-x,y+1/2,-z+1/2'
'x,-y+1/2,z+1/2'
loop_
_atom_site_label
_atom_site_fract_x
_atom_site_fract_y
_atom_site_fract_z
Ca1 0.184 0.198 0.049
B1 0.086 0.156 0.560
B2 0.223 0.683 0.337
B3 0.319 0.054 0.651
B4 0.319 0.673 0.027
B5 0.489 0.660 0.758
H1 0.046 0.062 0.060
H2 0.173 0.534 0.079
H3 0.223 0.058 0.085
H4 0.363 0.056 0.114
O1 0.008 0.191 0.328
O2 0.089 0.668 0.864
O3 0.106 0.086 0.534
O4 0.277 0.689 0.563
O5 0.297 0.190 0.731
O6 0.326 0.513 0.151
O7 0.387 0.673 0.266
O8 0.482 0.590 0.732
O9 0.497 0.679 0.982
```

These records have energy of formation from the pure elements values of -0.476, -2.132, -2.464, -2.237 eV per atom, in the order they appear.
These records have total energy values of -369.77, -785.54, -1105.53, -519.30 eV per cell, in the order they appear.